(1)
Computed, not measured: a relaxed Li3Mn2P3O12 crystal at the GGA+U level of DFT.

Values from the calculation:
Space-group type = P2_12_12, No. 18

Lattice parameters (Å, degrees): 8.658 8.936 12.121 90.00 90.00 90.00
Fractional coordinates of all 80 atoms:
O 0.593 0.408 0.921
O 0.815 0.598 0.029
O 0.591 0.912 0.579
O 0.171 0.100 0.527
O 0.519 0.418 0.321
O 0.854 0.814 0.164
O 0.261 0.059 0.719
O 0.973 0.085 0.684
O 0.315 0.402 0.471
O 0.646 0.186 0.664
O 0.268 0.583 0.772
O 0.739 0.059 0.281
O 0.860 0.312 0.334
O 0.146 0.814 0.836
O 0.640 0.688 0.834
O 0.981 0.582 0.821
O 0.481 0.418 0.679
O 0.027 0.085 0.316
O 0.409 0.912 0.421
O 0.105 0.789 0.425
O 0.829 0.100 0.473
O 0.768 0.417 0.728
O 0.909 0.088 0.079
O 0.894 0.286 0.924
O 0.354 0.186 0.336
O 0.360 0.688 0.166
O 0.671 0.900 0.973
O 0.093 0.592 0.579
O 0.761 0.941 0.781
O 0.895 0.789 0.575
O 0.232 0.417 0.272
O 0.239 0.941 0.219
O 0.185 0.598 0.971
O 0.606 0.714 0.424
O 0.019 0.582 0.179
O 0.732 0.583 0.228
O 0.394 0.714 0.576
O 0.527 0.915 0.184
O 0.091 0.088 0.921
O 0.329 0.900 0.027
O 0.605 0.211 0.075
O 0.395 0.211 0.925
O 0.907 0.592 0.421
O 0.685 0.402 0.529
O 0.407 0.408 0.079
O 0.106 0.286 0.076
O 0.473 0.915 0.816
O 0.140 0.312 0.666
Li 0.316 0.803 0.714
Li 0.816 0.197 0.786
Li 0.184 0.197 0.214
Li 0.684 0.803 0.286
Li 0.981 0.947 0.815
Li 0.523 0.532 0.182
Li 0.477 0.532 0.818
Li 0.481 0.053 0.685
Li 0.019 0.947 0.185
Li 0.977 0.468 0.682
Li 0.023 0.468 0.318
Li 0.519 0.053 0.315
Mn 0.294 0.012 0.889
Mn 0.210 0.502 0.112
Mn 0.790 0.502 0.888
Mn 0.206 0.988 0.389
Mn 0.706 0.012 0.111
Mn 0.710 0.498 0.388
Mn 0.290 0.498 0.612
Mn 0.794 0.988 0.611
P 0.643 0.357 0.646
P 0.500 0.302 0.000
P 0.357 0.357 0.354
P 0.639 0.857 0.854
P 0.361 0.857 0.146
P 0.000 0.196 0.000
P 0.139 0.143 0.646
P 0.000 0.698 0.500
P 0.861 0.143 0.354
P 0.500 0.804 0.500
P 0.143 0.643 0.854
P 0.857 0.643 0.146


(2)
Computed, not measured: a relaxed Na3VO3 crystal at the GGA+U level of DFT.

Values from the calculation:
Space-group type = P2_1/c, No. 14

Lattice parameters (Å, degrees): 6.164 6.310 10.688 90.00 90.01 87.49
Fractional coordinates of all 28 atoms:
O 0.137 0.119 0.561
O 0.264 0.167 0.866
O 0.863 0.381 0.061
O 0.736 0.333 0.366
O 0.685 0.305 0.641
O 0.685 0.804 0.859
O 0.264 0.667 0.634
O 0.863 0.881 0.439
O 0.736 0.833 0.134
O 0.315 0.196 0.141
O 0.315 0.695 0.359
O 0.137 0.619 0.939
Na 0.480 0.018 0.714
Na 0.520 0.982 0.286
Na 0.520 0.482 0.214
Na 0.648 0.634 0.510
Na 0.043 0.392 0.721
Na 0.957 0.108 0.221
Na 0.480 0.518 0.786
Na 0.957 0.608 0.279
Na 0.648 0.134 0.990
Na 0.043 0.892 0.779
Na 0.352 0.866 0.010
Na 0.352 0.366 0.490
V 0.167 0.324 0.005
V 0.833 0.676 0.995
V 0.833 0.176 0.505
V 0.167 0.824 0.495


(3)
Computed, not measured: a relaxed NaMn3V4O12 crystal at the GGA+U level of DFT.

Values from the calculation:
Space-group type = P-1, No. 2

Lattice parameters (Å, degrees): 6.506 6.474 6.504 109.86 109.56 109.21
Fractional coordinates of all 20 atoms:
Mn 0.500 0.500 0.000
Mn 0.500 0.000 0.500
Mn 0.000 0.500 0.500
O 0.182 0.873 0.692
O 0.871 0.697 0.188
O 0.308 0.179 0.497
O 0.692 0.821 0.503
O 0.818 0.504 0.688
O 0.488 0.302 0.175
O 0.512 0.698 0.825
O 0.818 0.127 0.308
O 0.317 0.822 0.130
O 0.129 0.303 0.812
O 0.683 0.178 0.870
O 0.182 0.496 0.312
Na 0.000 0.000 0.000
V 0.000 0.000 0.500
V 0.000 0.500 0.000
V 0.500 0.000 0.000
V 0.500 0.500 0.500


(4)
Computed, not measured: a relaxed BaSrTbCrO6 crystal at the GGA+U level of DFT.

Values from the calculation:
Space-group type = F-43m, No. 216

Lattice parameters (Å, degrees): 5.858 5.858 5.858 60.00 60.00 60.00
Fractional coordinates of all 10 atoms:
Sr 0.750 0.750 0.750
O 0.230 0.770 0.770
O 0.770 0.230 0.770
O 0.230 0.230 0.770
O 0.770 0.770 0.230
O 0.770 0.230 0.230
O 0.230 0.770 0.230
Cr 0.000 0.000 0.000
Ba 0.250 0.250 0.250
Tb 0.500 0.500 0.500


(5)
Computed, not measured: a relaxed Rb2WO4 crystal at the GGA+U level of DFT.

Values from the calculation:
Space-group type = C2/m, No. 12

Lattice parameters (Å, degrees): 7.312 7.312 8.065 66.80 66.80 52.55
Fractional coordinates of all 14 atoms:
W 0.824 0.824 0.226
W 0.176 0.176 0.774
Rb 0.512 0.512 0.763
Rb 0.488 0.488 0.237
Rb 0.156 0.156 0.253
Rb 0.844 0.844 0.747
O 0.371 0.915 0.917
O 0.085 0.629 0.083
O 0.327 0.327 0.626
O 0.094 0.094 0.644
O 0.629 0.085 0.083
O 0.915 0.371 0.917
O 0.906 0.906 0.356
O 0.673 0.673 0.374


(6)
Computed, not measured: a relaxed BaNdEuWO6 crystal at the GGA+U level of DFT.

Values from the calculation:
Space-group type = F-43m, No. 216

Lattice parameters (Å, degrees): 6.102 6.102 6.102 60.00 60.00 60.00
Fractional coordinates of all 10 atoms:
W 0.500 0.500 0.500
Eu 0.250 0.250 0.250
Nd 0.000 0.000 0.000
O 0.268 0.732 0.732
O 0.732 0.732 0.268
O 0.732 0.268 0.268
O 0.732 0.268 0.732
O 0.268 0.268 0.732
O 0.268 0.732 0.268
Ba 0.750 0.750 0.750


(7)
Computed, not measured: a relaxed Li4Ti2Cr3Co3O16 crystal at the GGA+U level of DFT.

Values from the calculation:
Space-group type = P1, No. 1

Lattice parameters (Å, degrees): 5.749 5.780 9.408 90.02 89.33 120.13
Fractional coordinates of all 28 atoms:
Co 0.827 0.169 0.714
Co 0.658 0.830 0.213
Co 0.827 0.657 0.714
O 0.996 0.998 0.801
O 0.520 0.482 0.840
O 0.331 0.165 0.097
O 0.167 0.332 0.599
O 0.956 0.478 0.832
O 0.336 0.669 0.104
O 0.483 0.962 0.339
O 0.671 0.336 0.607
O 0.833 0.666 0.099
O 0.520 0.037 0.840
O 0.997 0.999 0.304
O 0.835 0.168 0.098
O 0.483 0.523 0.337
O 0.667 0.833 0.602
O 0.168 0.834 0.599
O 0.035 0.517 0.341
Cr 0.350 0.174 0.720
Cr 0.173 0.348 0.217
Cr 0.173 0.825 0.219
Li 0.997 0.998 0.497
Li 0.665 0.334 0.394
Li 0.992 0.994 0.994
Li 0.333 0.667 0.889
Ti 0.671 0.336 0.995
Ti 0.339 0.669 0.500


(8)
Computed, not measured: a relaxed Ca3Cr3P4O16 crystal at the GGA+U level of DFT.

Values from the calculation:
Space-group type = P-1, No. 2

Lattice parameters (Å, degrees): 9.096 9.141 10.021 104.82 106.23 109.89
Fractional coordinates of all 52 atoms:
O 0.786 0.505 0.564
O 0.557 0.409 0.304
O 0.637 0.908 0.616
O 0.125 0.875 0.415
O 0.046 0.838 0.798
O 0.875 0.125 0.585
O 0.174 0.021 0.080
O 0.088 0.435 0.899
O 0.159 0.157 0.887
O 0.954 0.162 0.202
O 0.372 0.115 0.653
O 0.266 0.754 0.647
O 0.206 0.477 0.170
O 0.175 0.185 0.485
O 0.912 0.565 0.101
O 0.734 0.246 0.353
O 0.443 0.591 0.696
O 0.760 0.266 0.901
O 0.368 0.034 0.947
O 0.131 0.461 0.648
O 0.405 0.569 0.040
O 0.214 0.495 0.436
O 0.794 0.523 0.830
O 0.826 0.979 0.920
O 0.628 0.885 0.347
O 0.363 0.092 0.384
O 0.841 0.843 0.113
O 0.595 0.431 0.960
O 0.825 0.815 0.515
O 0.632 0.966 0.053
O 0.869 0.539 0.352
O 0.240 0.734 0.099
Cr 0.058 0.810 0.584
Cr 0.047 0.517 0.270
Cr 0.050 0.803 0.112
Cr 0.950 0.197 0.888
Cr 0.953 0.483 0.730
Cr 0.942 0.190 0.416
Ca 0.322 0.349 0.789
Ca 0.480 0.000 0.200
Ca 0.271 0.284 0.292
Ca 0.678 0.651 0.211
Ca 0.729 0.716 0.708
Ca 0.520 0.000 0.800
P 0.737 0.938 0.516
P 0.263 0.062 0.484
P 0.812 0.989 0.075
P 0.759 0.441 0.943
P 0.188 0.011 0.925
P 0.733 0.421 0.391
P 0.241 0.559 0.057
P 0.267 0.579 0.609


(9)
Computed, not measured: a relaxed TiCr3P6O24 crystal at the GGA+U level of DFT.

Values from the calculation:
Space-group type = R3, No. 146

Lattice parameters (Å, degrees): 8.809 8.809 8.809 58.42 58.42 58.42
Fractional coordinates of all 34 atoms:
O 0.778 0.006 0.638
O 0.225 0.992 0.360
O 0.638 0.778 0.006
O 0.923 0.063 0.281
O 0.490 0.722 0.863
O 0.360 0.225 0.992
O 0.281 0.923 0.063
O 0.137 0.505 0.283
O 0.863 0.490 0.722
O 0.785 0.558 0.427
O 0.940 0.712 0.079
O 0.505 0.283 0.137
O 0.283 0.137 0.505
O 0.558 0.427 0.785
O 0.992 0.360 0.225
O 0.217 0.434 0.578
O 0.712 0.079 0.940
O 0.006 0.638 0.778
O 0.427 0.785 0.558
O 0.722 0.863 0.490
O 0.578 0.217 0.434
O 0.079 0.940 0.712
O 0.434 0.578 0.217
O 0.063 0.281 0.923
Cr 0.357 0.357 0.357
Cr 0.643 0.643 0.643
Cr 0.143 0.143 0.143
P 0.751 0.034 0.465
P 0.530 0.254 0.967
P 0.465 0.751 0.034
P 0.967 0.530 0.254
P 0.254 0.967 0.530
P 0.034 0.465 0.751
Ti 0.860 0.860 0.860


(10)
Computed, not measured: a relaxed Li3V3P8O29 crystal at the GGA+U level of DFT.

Values from the calculation:
Space-group type = P1, No. 1

Lattice parameters (Å, degrees): 9.713 9.767 14.306 89.20 89.41 60.38
Fractional coordinates of all 86 atoms:
O 0.521 0.096 0.317
O 0.760 0.247 0.567
O 0.675 0.808 0.827
O 0.740 0.920 0.667
O 0.186 0.008 0.921
O 0.325 0.189 0.174
O 0.905 0.621 0.678
O 0.238 0.764 0.428
O 0.259 0.652 0.830
O 0.198 0.013 0.742
O 0.258 0.079 0.336
O 0.486 0.177 0.678
O 0.084 0.529 0.825
O 0.478 0.905 0.685
O 0.814 0.661 0.323
O 0.920 0.740 0.168
O 0.653 0.087 0.836
O 0.187 0.339 0.677
O 0.620 0.480 0.676
O 0.659 0.258 0.334
O 0.350 0.470 0.682
O 0.661 0.664 0.470
O 0.380 0.524 0.322
O 0.347 0.331 0.531
O 0.520 0.668 0.824
O 0.621 0.921 0.170
O 0.086 0.655 0.336
O 0.787 0.201 0.740
O 0.741 0.349 0.172
O 0.342 0.744 0.671
O 0.800 0.990 0.260
O 0.809 0.996 0.080
O 0.461 0.618 0.169
O 0.379 0.078 0.833
O 0.657 0.521 0.324
O 0.330 0.343 0.028
O 0.203 0.793 0.079
O 0.817 0.508 0.827
O 0.742 0.017 0.435
O 0.542 0.383 0.833
O 0.674 0.652 0.973
O 0.517 0.819 0.322
O 0.256 0.987 0.568
O 0.206 0.797 0.254
O 0.346 0.913 0.165
O 0.975 0.245 0.064
O 0.097 0.378 0.322
O 0.019 0.763 0.933
O 0.081 0.262 0.834
O 0.991 0.799 0.755
O 0.183 0.490 0.173
O 0.916 0.343 0.664
O 0.914 0.474 0.175
O 0.991 0.230 0.418
O 0.480 0.331 0.177
O 0.807 0.199 0.916
O 0.998 0.775 0.575
O 0.014 0.200 0.240
P 0.230 0.684 0.344
P 0.089 0.223 0.336
P 0.327 0.339 0.131
P 0.304 0.779 0.159
P 0.086 0.685 0.841
P 0.913 0.319 0.157
P 0.344 0.329 0.635
P 0.912 0.778 0.661
P 0.658 0.668 0.366
P 0.680 0.090 0.343
P 0.318 0.913 0.660
P 0.672 0.658 0.869
P 0.768 0.321 0.657
P 0.695 0.222 0.839
P 0.786 0.916 0.162
P 0.214 0.086 0.840
V 0.434 0.570 0.752
V 0.560 0.434 0.244
V 0.998 0.568 0.257
V 0.002 0.434 0.743
V 0.436 0.003 0.241
V 0.566 0.994 0.761
Li 0.094 0.672 0.056
Li 0.301 0.917 0.445
Li 0.905 0.329 0.939
Li 0.773 0.316 0.442
Li 0.998 0.002 0.992
Li 0.695 0.080 0.562


DFT total energy per entry: -6.953; -5.355; -7.534; -7.010; -6.181; -8.024; -6.923; -7.481; -7.322; -7.053 eV per atom